No. 1
Ta12Ga3Te8Se16 | PBE | relaxed

Unit cell a=7.628 b=7.715 c=18.788 alpha=89.38 beta=89.99 gamma=60.43
Space group P1 (No. 1)
Symmetry-distinct sites (fractional):
Ta 0.000 0.000 0.000 (multiplicity 1)
Ta 0.016 0.588 0.995 (multiplicity 1)
Ta 0.204 0.210 0.801 (multiplicity 1)
Ta 0.285 0.667 0.334 (multiplicity 1)
Ta 0.336 0.327 0.670 (multiplicity 1)
Ta 0.353 0.926 0.664 (multiplicity 1)
Ta 0.543 0.541 0.465 (multiplicity 1)
Ta 0.618 0.001 0.001 (multiplicity 1)
Ta 0.670 0.660 0.335 (multiplicity 1)
Ta 0.688 0.258 0.330 (multiplicity 1)
Ta 0.875 0.874 0.130 (multiplicity 1)
Ta 0.951 0.335 0.669 (multiplicity 1)
Ga 0.196 0.190 0.203 (multiplicity 1)
Ga 0.554 0.512 0.873 (multiplicity 1)
Ga 0.863 0.857 0.537 (multiplicity 1)
Te 0.029 0.560 0.245 (multiplicity 1)
Te 0.210 0.193 0.064 (multiplicity 1)
Te 0.239 0.678 0.580 (multiplicity 1)
Te 0.364 0.890 0.913 (multiplicity 1)
Te 0.546 0.525 0.733 (multiplicity 1)
Te 0.572 0.012 0.245 (multiplicity 1)
Te 0.694 0.226 0.580 (multiplicity 1)
Te 0.878 0.859 0.398 (multiplicity 1)
Se 0.026 0.009 0.246 (multiplicity 1)
Se 0.029 0.560 0.746 (multiplicity 1)
Se 0.046 0.020 0.743 (multiplicity 1)
Se 0.212 0.193 0.568 (multiplicity 1)
Se 0.226 0.684 0.074 (multiplicity 1)
Se 0.363 0.343 0.913 (multiplicity 1)
Se 0.364 0.892 0.412 (multiplicity 1)
Se 0.381 0.352 0.409 (multiplicity 1)
Se 0.545 0.526 0.234 (multiplicity 1)
Se 0.558 0.018 0.747 (multiplicity 1)
Se 0.693 0.676 0.580 (multiplicity 1)
Se 0.696 0.228 0.078 (multiplicity 1)
Se 0.712 0.685 0.075 (multiplicity 1)
Se 0.878 0.860 0.900 (multiplicity 1)
Se 0.896 0.349 0.411 (multiplicity 1)
Se 0.912 0.342 0.913 (multiplicity 1)

=====

No. 2
Li2BiP3O10 | PBE | relaxed

Unit cell a=5.109 b=9.004 c=10.265 alpha=90.00 beta=98.41 gamma=90.00
Space group P2_1/m (No. 11)
Symmetry-distinct sites (fractional):
Li 0.176 0.077 0.077 (multiplicity 4)
Bi 0.000 0.000 0.500 (multiplicity 2)
P 0.321 0.250 0.713 (multiplicity 2)
P 0.361 0.750 0.001 (multiplicity 2)
P 0.483 0.250 0.444 (multiplicity 2)
O 0.157 0.108 0.699 (multiplicity 4)
O 0.201 0.608 0.981 (multiplicity 4)
O 0.219 0.750 0.575 (multiplicity 2)
O 0.342 0.106 0.395 (multiplicity 4)
O 0.388 0.250 0.063 (multiplicity 2)
O 0.467 0.750 0.163 (multiplicity 2)
O 0.483 0.750 0.396 (multiplicity 2)

=====

No. 3
RbIrO3 | PBE | relaxed

Unit cell a=4.009 b=4.009 c=4.009 alpha=90.00 beta=90.00 gamma=90.00
Space group Pm-3m (No. 221)
Symmetry-distinct sites (fractional):
Rb 0.000 0.000 0.000 (multiplicity 1)
Ir 0.500 0.500 0.500 (multiplicity 1)
O 0.000 0.500 0.500 (multiplicity 3)

=====

No. 4
Na10Nb4Si11Sn4SO48 | PBE | relaxed

Unit cell a=9.024 b=15.629 c=22.803 alpha=89.81 beta=89.82 gamma=89.99
Space group P1 (No. 1)
Symmetry-distinct sites (fractional):
Na 0.000 0.000 0.000 (multiplicity 1)
Na 0.001 0.031 0.335 (multiplicity 1)
Na 0.001 0.664 0.335 (multiplicity 1)
Na 0.047 0.679 0.001 (multiplicity 1)
Na 0.048 0.014 0.664 (multiplicity 1)
Na 0.178 0.845 0.580 (multiplicity 1)
Na 0.182 0.186 0.250 (multiplicity 1)
Na 0.183 0.187 0.749 (multiplicity 1)
Na 0.186 0.845 0.085 (multiplicity 1)
Na 0.188 0.515 0.418 (multiplicity 1)
Na 0.189 0.513 0.916 (multiplicity 1)
Na 0.314 0.014 0.166 (multiplicity 1)
Na 0.362 0.001 0.499 (multiplicity 1)
Na 0.365 0.032 0.834 (multiplicity 1)
Na 0.499 0.198 0.665 (multiplicity 1)
Na 0.500 0.531 0.335 (multiplicity 1)
Na 0.501 0.165 0.335 (multiplicity 1)
Na 0.548 0.514 0.665 (multiplicity 1)
Na 0.677 0.685 0.750 (multiplicity 1)
Na 0.678 0.345 0.581 (multiplicity 1)
Na 0.678 0.686 0.249 (multiplicity 1)
Na 0.679 0.014 0.918 (multiplicity 1)
Na 0.682 0.349 0.080 (multiplicity 1)
Na 0.688 0.015 0.419 (multiplicity 1)
Na 0.818 0.514 0.165 (multiplicity 1)
Na 0.862 0.501 0.500 (multiplicity 1)
Na 0.863 0.166 0.835 (multiplicity 1)
Na 0.866 0.530 0.834 (multiplicity 1)
Na 0.867 0.198 0.166 (multiplicity 1)
Na 0.999 0.696 0.665 (multiplicity 1)
Nb 0.181 0.512 0.269 (multiplicity 1)
Nb 0.181 0.844 0.230 (multiplicity 1)
Nb 0.187 0.847 0.730 (multiplicity 1)
Nb 0.188 0.847 0.937 (multiplicity 1)
Nb 0.190 0.514 0.770 (multiplicity 1)
Nb 0.678 0.348 0.230 (multiplicity 1)
Nb 0.679 0.012 0.270 (multiplicity 1)
Nb 0.679 0.016 0.062 (multiplicity 1)
Nb 0.680 0.681 0.104 (multiplicity 1)
Nb 0.680 0.681 0.896 (multiplicity 1)
Nb 0.685 0.012 0.769 (multiplicity 1)
Nb 0.686 0.348 0.730 (multiplicity 1)
Si 0.034 0.034 0.500 (multiplicity 1)
Si 0.036 0.991 0.833 (multiplicity 1)
Si 0.038 0.661 0.166 (multiplicity 1)
Si 0.038 0.703 0.833 (multiplicity 1)
Si 0.041 0.368 0.165 (multiplicity 1)
Si 0.323 0.369 0.665 (multiplicity 1)
Si 0.328 0.990 0.334 (multiplicity 1)
Si 0.329 0.037 0.999 (multiplicity 1)
Si 0.331 0.661 0.666 (multiplicity 1)
Si 0.331 0.704 0.334 (multiplicity 1)
Si 0.387 0.347 0.333 (multiplicity 1)
Si 0.394 0.678 0.000 (multiplicity 1)
Si 0.396 0.012 0.665 (multiplicity 1)
Si 0.469 0.514 0.165 (multiplicity 1)
Si 0.475 0.846 0.833 (multiplicity 1)
Si 0.477 0.182 0.500 (multiplicity 1)
Si 0.533 0.534 0.500 (multiplicity 1)
Si 0.535 0.161 0.166 (multiplicity 1)
Si 0.535 0.205 0.834 (multiplicity 1)
Si 0.536 0.491 0.835 (multiplicity 1)
Si 0.539 0.868 0.166 (multiplicity 1)
Si 0.823 0.868 0.665 (multiplicity 1)
Si 0.824 0.826 0.000 (multiplicity 1)
Si 0.826 0.532 0.000 (multiplicity 1)
Si 0.830 0.490 0.335 (multiplicity 1)
Si 0.831 0.162 0.667 (multiplicity 1)
Si 0.831 0.205 0.334 (multiplicity 1)
Si 0.888 0.847 0.333 (multiplicity 1)
Si 0.889 0.185 0.000 (multiplicity 1)
Si 0.897 0.512 0.666 (multiplicity 1)
Si 0.971 0.012 0.166 (multiplicity 1)
Si 0.977 0.348 0.833 (multiplicity 1)
Si 0.977 0.682 0.500 (multiplicity 1)
Sn 0.171 0.847 0.435 (multiplicity 1)
Sn 0.179 0.181 0.103 (multiplicity 1)
Sn 0.182 0.178 0.396 (multiplicity 1)
Sn 0.182 0.516 0.065 (multiplicity 1)
Sn 0.183 0.180 0.896 (multiplicity 1)
Sn 0.186 0.180 0.603 (multiplicity 1)
Sn 0.189 0.520 0.565 (multiplicity 1)
Sn 0.671 0.347 0.435 (multiplicity 1)
Sn 0.683 0.678 0.396 (multiplicity 1)
Sn 0.687 0.679 0.603 (multiplicity 1)
Sn 0.690 0.020 0.564 (multiplicity 1)
Sn 0.690 0.349 0.935 (multiplicity 1)
S 0.037 0.327 0.500 (multiplicity 1)
S 0.329 0.327 0.000 (multiplicity 1)
S 0.537 0.827 0.500 (multiplicity 1)
O 0.000 0.831 0.277 (multiplicity 1)
O 0.001 0.531 0.723 (multiplicity 1)
O 0.005 0.860 0.675 (multiplicity 1)
O 0.006 0.835 0.993 (multiplicity 1)
O 0.008 0.505 0.325 (multiplicity 1)
O 0.009 0.190 0.337 (multiplicity 1)
O 0.009 0.530 0.004 (multiplicity 1)
O 0.010 0.166 0.661 (multiplicity 1)
O 0.055 0.431 0.109 (multiplicity 1)
O 0.058 0.093 0.440 (multiplicity 1)
O 0.060 0.273 0.553 (multiplicity 1)
O 0.065 0.599 0.224 (multiplicity 1)
O 0.068 0.590 0.504 (multiplicity 1)
O 0.068 0.932 0.892 (multiplicity 1)
O 0.069 0.763 0.775 (multiplicity 1)
O 0.073 0.260 0.838 (multiplicity 1)
O 0.074 0.099 0.162 (multiplicity 1)
O 0.075 0.435 0.824 (multiplicity 1)
O 0.082 0.930 0.173 (multiplicity 1)
O 0.084 0.766 0.496 (multiplicity 1)
O 0.104 0.413 0.504 (multiplicity 1)
O 0.105 0.288 0.446 (multiplicity 1)
O 0.108 0.607 0.826 (multiplicity 1)
O 0.110 0.272 0.162 (multiplicity 1)
O 0.111 0.623 0.106 (multiplicity 1)
O 0.112 0.755 0.175 (multiplicity 1)
O 0.113 0.086 0.837 (multiplicity 1)
O 0.113 0.750 0.891 (multiplicity 1)
O 0.114 0.076 0.558 (multiplicity 1)
O 0.114 0.417 0.223 (multiplicity 1)
O 0.114 0.947 0.776 (multiplicity 1)
O 0.126 0.943 0.495 (multiplicity 1)
O 0.242 0.625 0.610 (multiplicity 1)
O 0.244 0.744 0.390 (multiplicity 1)
O 0.248 0.075 0.058 (multiplicity 1)
O 0.248 0.943 0.992 (multiplicity 1)
O 0.249 0.754 0.675 (multiplicity 1)
O 0.249 0.947 0.276 (multiplicity 1)
O 0.251 0.417 0.723 (multiplicity 1)
O 0.253 0.086 0.336 (multiplicity 1)
O 0.253 0.609 0.324 (multiplicity 1)
O 0.255 0.272 0.662 (multiplicity 1)
O 0.258 0.412 0.005 (multiplicity 1)
O 0.259 0.289 0.947 (multiplicity 1)
O 0.283 0.931 0.674 (multiplicity 1)
O 0.284 0.596 0.004 (multiplicity 1)
O 0.286 0.764 0.992 (multiplicity 1)
O 0.289 0.435 0.324 (multiplicity 1)
O 0.291 0.098 0.663 (multiplicity 1)
O 0.291 0.260 0.338 (multiplicity 1)
O 0.295 0.765 0.276 (multiplicity 1)
O 0.300 0.598 0.723 (multiplicity 1)
O 0.304 0.273 0.053 (multiplicity 1)
O 0.307 0.094 0.940 (multiplicity 1)
O 0.307 0.934 0.393 (multiplicity 1)
O 0.308 0.432 0.609 (multiplicity 1)
O 0.354 0.523 0.504 (multiplicity 1)
O 0.356 0.166 0.159 (multiplicity 1)
O 0.356 0.190 0.838 (multiplicity 1)
O 0.358 0.503 0.825 (multiplicity 1)
O 0.359 0.864 0.174 (multiplicity 1)
O 0.364 0.834 0.776 (multiplicity 1)
O 0.364 0.865 0.889 (multiplicity 1)
O 0.367 0.529 0.225 (multiplicity 1)
O 0.371 0.494 0.108 (multiplicity 1)
O 0.374 0.837 0.495 (multiplicity 1)
O 0.375 0.163 0.441 (multiplicity 1)
O 0.377 0.199 0.559 (multiplicity 1)
O 0.488 0.373 0.389 (multiplicity 1)
O 0.490 0.335 0.994 (multiplicity 1)
O 0.492 0.995 0.606 (multiplicity 1)
O 0.500 0.331 0.277 (multiplicity 1)
O 0.501 0.029 0.723 (multiplicity 1)
O 0.501 0.696 0.057 (multiplicity 1)
O 0.502 0.667 0.943 (multiplicity 1)
O 0.505 0.360 0.675 (multiplicity 1)
O 0.507 0.005 0.325 (multiplicity 1)
O 0.508 0.025 0.007 (multiplicity 1)
O 0.510 0.667 0.661 (multiplicity 1)
O 0.510 0.690 0.338 (multiplicity 1)
O 0.558 0.593 0.440 (multiplicity 1)
O 0.559 0.432 0.891 (multiplicity 1)
O 0.561 0.774 0.553 (multiplicity 1)
O 0.563 0.099 0.224 (multiplicity 1)
O 0.568 0.090 0.504 (multiplicity 1)
O 0.568 0.263 0.775 (multiplicity 1)
O 0.568 0.933 0.110 (multiplicity 1)
O 0.569 0.935 0.826 (multiplicity 1)
O 0.577 0.762 0.840 (multiplicity 1)
O 0.581 0.597 0.160 (multiplicity 1)
O 0.582 0.432 0.175 (multiplicity 1)
O 0.584 0.266 0.496 (multiplicity 1)
O 0.604 0.913 0.505 (multiplicity 1)
O 0.605 0.788 0.446 (multiplicity 1)
O 0.612 0.109 0.824 (multiplicity 1)
O 0.613 0.917 0.223 (multiplicity 1)
O 0.614 0.575 0.558 (multiplicity 1)
O 0.614 0.775 0.159 (multiplicity 1)
O 0.616 0.449 0.776 (multiplicity 1)
O 0.618 0.113 0.110 (multiplicity 1)
O 0.619 0.253 0.173 (multiplicity 1)
O 0.619 0.585 0.840 (multiplicity 1)
O 0.621 0.243 0.890 (multiplicity 1)
O 0.626 0.442 0.495 (multiplicity 1)
O 0.742 0.123 0.611 (multiplicity 1)
O 0.743 0.244 0.390 (multiplicity 1)
O 0.745 0.440 0.996 (multiplicity 1)
O 0.748 0.254 0.675 (multiplicity 1)
O 0.750 0.446 0.276 (multiplicity 1)
O 0.751 0.779 0.943 (multiplicity 1)
O 0.751 0.917 0.723 (multiplicity 1)
O 0.753 0.109 0.324 (multiplicity 1)
O 0.753 0.586 0.336 (multiplicity 1)
O 0.755 0.582 0.058 (multiplicity 1)
O 0.755 0.772 0.662 (multiplicity 1)
O 0.757 0.922 0.006 (multiplicity 1)
O 0.780 0.267 0.995 (multiplicity 1)
O 0.783 0.430 0.674 (multiplicity 1)
O 0.790 0.598 0.663 (multiplicity 1)
O 0.790 0.934 0.323 (multiplicity 1)
O 0.791 0.760 0.338 (multiplicity 1)
O 0.793 0.095 0.008 (multiplicity 1)
O 0.796 0.263 0.274 (multiplicity 1)
O 0.799 0.597 0.943 (multiplicity 1)
O 0.799 0.763 0.056 (multiplicity 1)
O 0.801 0.099 0.725 (multiplicity 1)
O 0.807 0.434 0.393 (multiplicity 1)
O 0.808 0.932 0.609 (multiplicity 1)
O 0.854 0.023 0.504 (multiplicity 1)
O 0.856 0.004 0.827 (multiplicity 1)
O 0.857 0.666 0.160 (multiplicity 1)
O 0.859 0.691 0.840 (multiplicity 1)
O 0.860 0.360 0.175 (multiplicity 1)
O 0.864 0.030 0.223 (multiplicity 1)
O 0.864 0.331 0.777 (multiplicity 1)
O 0.867 0.999 0.108 (multiplicity 1)
O 0.874 0.337 0.495 (multiplicity 1)
O 0.875 0.663 0.441 (multiplicity 1)
O 0.876 0.372 0.889 (multiplicity 1)
O 0.877 0.699 0.559 (multiplicity 1)
O 0.988 0.873 0.389 (multiplicity 1)
O 0.989 0.199 0.059 (multiplicity 1)
O 0.991 0.161 0.942 (multiplicity 1)
O 0.991 0.495 0.606 (multiplicity 1)

=====

No. 5
LaCeCo5Ni5 | PBE | relaxed

Unit cell a=4.011 b=4.939 c=8.466 alpha=90.00 beta=90.00 gamma=90.00
Space group Pmmm (No. 47)
Symmetry-distinct sites (fractional):
La 0.000 0.000 0.000 (multiplicity 1)
Ce 0.000 0.500 0.500 (multiplicity 1)
Co 0.000 0.000 0.346 (multiplicity 2)
Co 0.000 0.500 0.169 (multiplicity 2)
Co 0.500 0.500 0.000 (multiplicity 1)
Ni 0.500 0.000 0.500 (multiplicity 1)
Ni 0.500 0.252 0.253 (multiplicity 4)

=====

No. 6
Pm2CuOs | PBE | relaxed

Unit cell a=7.038 b=7.038 c=7.038 alpha=90.00 beta=90.00 gamma=90.00
Space group Fm-3m (No. 225)
Symmetry-distinct sites (fractional):
Pm 0.250 0.250 0.250 (multiplicity 8)
Cu 0.000 0.000 0.000 (multiplicity 4)
Os 0.000 0.000 0.500 (multiplicity 4)

=====

No. 7
Mg3Os | PBE | relaxed

Unit cell a=4.235 b=4.235 c=7.711 alpha=90.00 beta=90.00 gamma=90.00
Space group I4/mmm (No. 139)
Symmetry-distinct sites (fractional):
Mg 0.000 0.000 0.000 (multiplicity 2)
Mg 0.000 0.500 0.250 (multiplicity 4)
Os 0.000 0.000 0.500 (multiplicity 2)

=====

no.,DFT formation energy (meV/atom)
1,-830.2
2,-2523.9
3,-1205.4
4,-2752.4
5,-155.0
6,-111.7
7,162.3